MgZn2Ni4S8 | PBE | optimized geometry

Cell: 6.628 6.628 7.976 Å, 114.15 114.15 90.12°
Atoms (fractional coordinates):
Mg (0.000, 0.000, 0.000)
Zn (0.482, 0.518, 0.000)
Zn (0.740, 0.260, 0.500)
Ni (0.072, 0.846, 0.663)
Ni (0.152, 0.435, 0.332)
Ni (0.154, 0.928, 0.337)
Ni (0.565, 0.848, 0.668)
S (0.338, 0.643, 0.706)
S (0.341, 0.091, 0.711)
S (0.357, 0.164, 0.297)
S (0.357, 0.662, 0.294)
S (0.836, 0.643, 0.703)
S (0.843, 0.091, 0.715)
S (0.909, 0.157, 0.285)
S (0.909, 0.659, 0.289)

Results
- total magnetic moment (μB/f.u.) = 0.0
- total DFT energy (no corrections) (eV for the cell shown) = -65.74
- ΔH_f (0 K) (eV per atom) = -0.629

Mg6NiSb | PBE | optimized geometry

Cell: 5.033 6.152 6.152 Å, 60.12 90.00 90.00°
Atoms (fractional coordinates):
Mg (0.000, 0.000, 0.000)
Mg (0.000, 0.502, 0.989)
Mg (0.000, 0.989, 0.502)
Mg (0.500, 0.159, 0.669)
Mg (0.500, 0.165, 0.165)
Mg (0.500, 0.669, 0.159)
Ni (0.500, 0.667, 0.667)
Sb (0.000, 0.503, 0.503)

Results
- total magnetic moment (μB/f.u.) = 0.0
- total DFT energy (no corrections) (eV for the cell shown) = -19.68
- ΔH_f (0 K) (eV per atom) = -0.045

MgNi2Sb | PBE | optimized geometry

Cell: 4.361 4.361 4.361 Å, 60.00 60.00 60.00°
Atoms (fractional coordinates):
Mg (0.000, 0.000, 0.000)
Ni (0.250, 0.250, 0.250)
Ni (0.750, 0.750, 0.750)
Sb (0.500, 0.500, 0.500)

Results
- total magnetic moment (μB/f.u.) = 0.0
- total DFT energy (no corrections) (eV for the cell shown) = -18.24
- ΔH_f (0 K) (eV per atom) = -0.286

MgNiSb | PBE | optimized geometry

Cell: 4.302 4.302 4.302 Å, 60.00 60.00 60.00°
Atoms (fractional coordinates):
Mg (0.000, 0.000, 0.000)
Ni (0.750, 0.750, 0.750)
Sb (0.500, 0.500, 0.500)

Results
- total DFT energy (no corrections) (eV for the cell shown) = -12.73
- ΔH_f (0 K) (eV per atom) = -0.471

Mg6NiSb | PBE | optimized geometry

Cell: 4.849 6.401 10.658 Å, 90.00 90.00 90.00°
Atoms (fractional coordinates):
Mg (0.500, 0.747, 0.085)
Mg (0.000, 0.500, 0.662)
Mg (0.000, 0.000, 0.162)
Mg (0.500, 0.753, 0.585)
Mg (0.000, 0.229, 0.913)
Mg (0.000, 0.729, 0.413)
Mg (0.000, 0.771, 0.913)
Mg (0.500, 0.253, 0.085)
Mg (0.500, 0.247, 0.585)
Mg (0.000, 0.000, 0.675)
Mg (0.000, 0.271, 0.413)
Mg (0.000, 0.500, 0.175)
Sb (0.500, 0.500, 0.834)
Sb (0.500, 0.000, 0.334)
Ni (0.500, 0.000, 0.834)
Ni (0.500, 0.500, 0.334)

Results
- total magnetic moment (μB/f.u.) = 0.0
- total DFT energy (no corrections) (eV for the cell shown) = -39.31
- ΔH_f (0 K) (eV per atom) = -0.042

Mg14SiNi | PBE | optimized geometry

Cell: 6.148 6.148 10.102 Å, 90.00 90.00 120.00°
Atoms (fractional coordinates):
Mg (0.000, 0.000, 0.249)
Mg (0.000, 0.000, 0.751)
Mg (0.011, 0.505, 0.243)
Mg (0.011, 0.505, 0.757)
Mg (0.331, 0.166, 0.000)
Mg (0.334, 0.167, 0.500)
Mg (0.495, 0.505, 0.243)
Mg (0.495, 0.505, 0.757)
Mg (0.495, 0.989, 0.243)
Mg (0.495, 0.989, 0.757)
Mg (0.833, 0.167, 0.500)
Mg (0.833, 0.666, 0.500)
Mg (0.834, 0.166, 0.000)
Mg (0.834, 0.669, 0.000)
Si (0.333, 0.667, 0.500)
Ni (0.333, 0.667, 0.000)

Results
- total magnetic moment (μB/f.u.) = 0.0
- total DFT energy (no corrections) (eV for the cell shown) = -33.02
- ΔH_f (0 K) (eV per atom) = 0.037

Mg14SiNi | PBE | optimized geometry

Cell: 10.037 6.187 6.187 Å, 60.69 90.00 90.00°
Atoms (fractional coordinates):
Mg (0.000, 0.000, 0.000)
Mg (0.000, 0.006, 0.504)
Mg (0.000, 0.500, 0.500)
Mg (0.000, 0.504, 0.006)
Mg (0.249, 0.671, 0.671)
Mg (0.254, 0.168, 0.168)
Mg (0.283, 0.173, 0.680)
Mg (0.283, 0.680, 0.173)
Mg (0.500, 0.477, 0.980)
Mg (0.500, 0.980, 0.477)
Mg (0.717, 0.173, 0.680)
Mg (0.717, 0.680, 0.173)
Mg (0.746, 0.168, 0.168)
Mg (0.751, 0.671, 0.671)
Si (0.500, 0.508, 0.508)
Ni (0.500, 0.012, 0.012)

Results
- total magnetic moment (μB/f.u.) = 0.0
- total DFT energy (no corrections) (eV for the cell shown) = -33.25
- ΔH_f (0 K) (eV per atom) = 0.023

MgSi6Ni6 | PBE | optimized geometry

Cell: 4.909 4.909 7.613 Å, 90.00 90.00 120.19°
Atoms (fractional coordinates):
Mg (0.000, 0.000, 0.000)
Si (0.000, 0.000, 0.346)
Si (0.000, 0.000, 0.654)
Si (0.333, 0.667, 0.000)
Si (0.333, 0.667, 0.500)
Si (0.667, 0.333, 0.000)
Si (0.667, 0.333, 0.500)
Ni (0.000, 0.500, 0.250)
Ni (0.000, 0.500, 0.750)
Ni (0.500, 0.000, 0.250)
Ni (0.500, 0.000, 0.750)
Ni (0.500, 0.500, 0.250)
Ni (0.500, 0.500, 0.750)

Results
- total magnetic moment (μB/f.u.) = 0.0
- total DFT energy (no corrections) (eV for the cell shown) = -74.34
- ΔH_f (0 K) (eV per atom) = -0.423

Mg2SiNi3 | PBE | optimized geometry

Cell: 4.670 4.670 4.670 Å, 64.77 64.77 64.77°
Atoms (fractional coordinates):
Mg (0.125, 0.125, 0.125)
Mg (0.875, 0.875, 0.875)
Si (0.500, 0.500, 0.500)
Ni (0.000, 0.500, 0.500)
Ni (0.500, 0.000, 0.500)
Ni (0.500, 0.500, 0.000)

Results
- total DFT energy (no corrections) (eV for the cell shown) = -28.78
- ΔH_f (0 K) (eV per atom) = -0.469

Sm2MgNi2 | PBE | optimized geometry

Cell: 7.434 7.434 3.875 Å, 90.00 90.00 90.00°
Atoms (fractional coordinates):
Sm (0.176, 0.324, 0.000)
Sm (0.324, 0.824, 0.000)
Sm (0.676, 0.176, 0.000)
Sm (0.824, 0.676, 0.000)
Mg (0.000, 0.000, 0.500)
Mg (0.500, 0.500, 0.500)
Ni (0.120, 0.620, 0.500)
Ni (0.380, 0.120, 0.500)
Ni (0.620, 0.880, 0.500)
Ni (0.880, 0.380, 0.500)

Results
- total DFT energy (no corrections) (eV for the cell shown) = -48.50
- ΔH_f (0 K) (eV per atom) = -0.330

SmMg2Ni9 | PBE | optimized geometry

Cell: 8.339 8.339 8.339 Å, 33.99 33.99 33.99°
Atoms (fractional coordinates):
Sm (0.000, 0.000, 0.000)
Mg (0.144, 0.144, 0.144)
Mg (0.856, 0.856, 0.856)
Ni (0.082, 0.586, 0.586)
Ni (0.333, 0.333, 0.333)
Ni (0.414, 0.414, 0.918)
Ni (0.414, 0.918, 0.414)
Ni (0.500, 0.500, 0.500)
Ni (0.586, 0.082, 0.586)
Ni (0.586, 0.586, 0.082)
Ni (0.667, 0.667, 0.667)
Ni (0.918, 0.414, 0.414)

Results
- total DFT energy (no corrections) (eV for the cell shown) = -63.06
- ΔH_f (0 K) (eV per atom) = -0.260

Mg6NiSn | PBE | optimized geometry

Cell: 4.880 6.197 10.659 Å, 90.00 90.00 90.00°
Atoms (fractional coordinates):
Mg (0.000, 0.500, 0.331)
Mg (0.500, 0.255, 0.418)
Mg (0.500, 0.500, 0.166)
Mg (0.000, 0.000, 0.831)
Mg (0.500, 0.245, 0.918)
Mg (0.000, 0.760, 0.088)
Mg (0.500, 0.755, 0.918)
Mg (0.000, 0.240, 0.088)
Mg (0.500, 0.000, 0.666)
Mg (0.000, 0.740, 0.588)
Mg (0.500, 0.745, 0.418)
Mg (0.000, 0.260, 0.588)
Sn (0.000, 0.000, 0.327)
Sn (0.000, 0.500, 0.827)
Ni (0.500, 0.500, 0.665)
Ni (0.500, 0.000, 0.165)

Results
- total magnetic moment (μB/f.u.) = 0.0
- total DFT energy (no corrections) (eV for the cell shown) = -39.04
- ΔH_f (0 K) (eV per atom) = -0.016

MgNi2Sn | PBE | optimized geometry

Cell: 4.359 4.359 4.359 Å, 60.00 60.00 60.00°
Atoms (fractional coordinates):
Mg (0.000, 0.000, 0.000)
Ni (0.250, 0.250, 0.250)
Ni (0.750, 0.750, 0.750)
Sn (0.500, 0.500, 0.500)

Results
- total DFT energy (no corrections) (eV for the cell shown) = -18.27
- ΔH_f (0 K) (eV per atom) = -0.276

Mg6NiSn | PBE | optimized geometry

Cell: 4.873 6.269 10.675 Å, 90.00 90.00 90.00°
Atoms (fractional coordinates):
Mg (0.500, 0.748, 0.084)
Mg (0.000, 0.266, 0.413)
Mg (0.000, 0.234, 0.913)
Mg (0.000, 0.000, 0.675)
Mg (0.500, 0.752, 0.584)
Mg (0.000, 0.500, 0.664)
Mg (0.000, 0.000, 0.164)
Mg (0.500, 0.248, 0.584)
Mg (0.000, 0.500, 0.175)
Mg (0.000, 0.766, 0.913)
Mg (0.000, 0.734, 0.413)
Mg (0.500, 0.252, 0.084)
Sn (0.500, 0.000, 0.332)
Sn (0.500, 0.500, 0.832)
Ni (0.500, 0.500, 0.333)
Ni (0.500, 0.000, 0.833)

Results
- total magnetic moment (μB/f.u.) = 0.0
- total DFT energy (no corrections) (eV for the cell shown) = -39.00
- ΔH_f (0 K) (eV per atom) = -0.014

Mg6NiSn | PBE | optimized geometry

Cell: 9.954 9.954 6.905 Å, 90.00 90.00 90.00°
Atoms (fractional coordinates):
Mg (0.000, 0.000, 0.244)
Mg (0.000, 0.000, 0.744)
Mg (0.023, 0.261, 0.000)
Mg (0.023, 0.739, 0.500)
Mg (0.154, 0.464, 0.303)
Mg (0.154, 0.536, 0.803)
Mg (0.261, 0.023, 0.000)
Mg (0.261, 0.977, 0.500)
Mg (0.274, 0.274, 0.611)
Mg (0.274, 0.726, 0.111)
Mg (0.464, 0.154, 0.303)
Mg (0.464, 0.846, 0.803)
Mg (0.500, 0.500, 0.273)
Mg (0.500, 0.500, 0.773)
Mg (0.536, 0.154, 0.803)
Mg (0.536, 0.846, 0.303)
Mg (0.726, 0.274, 0.111)
Mg (0.726, 0.726, 0.611)
Mg (0.739, 0.023, 0.500)
Mg (0.739, 0.977, 0.000)
Mg (0.846, 0.464, 0.803)
Mg (0.846, 0.536, 0.303)
Mg (0.977, 0.261, 0.500)
Mg (0.977, 0.739, 0.000)
Ni (0.191, 0.191, 0.283)
Ni (0.191, 0.809, 0.783)
Ni (0.809, 0.191, 0.783)
Ni (0.809, 0.809, 0.283)
Sn (0.329, 0.329, 0.015)
Sn (0.329, 0.671, 0.515)
Sn (0.671, 0.329, 0.515)
Sn (0.671, 0.671, 0.015)

Results
- total magnetic moment (μB/f.u.) = 0.0
- total DFT energy (no corrections) (eV for the cell shown) = -81.66
- ΔH_f (0 K) (eV per atom) = -0.128

SrMg14Ni | PBE | optimized geometry

Cell: 10.380 6.555 6.555 Å, 56.69 90.00 90.00°
Atoms (fractional coordinates):
Sr (0.000, 0.000, 0.000)
Mg (0.000, 0.019, 0.491)
Mg (0.000, 0.491, 0.019)
Mg (0.210, 0.625, 0.625)
Mg (0.255, 0.145, 0.633)
Mg (0.255, 0.633, 0.145)
Mg (0.270, 0.147, 0.147)
Mg (0.500, 0.483, 0.483)
Mg (0.500, 0.485, 0.976)
Mg (0.500, 0.976, 0.485)
Mg (0.500, 0.977, 0.977)
Mg (0.730, 0.147, 0.147)
Mg (0.745, 0.145, 0.633)
Mg (0.745, 0.633, 0.145)
Mg (0.790, 0.625, 0.625)
Ni (0.000, 0.458, 0.458)

Results
- total magnetic moment (μB/f.u.) = 0.0
- total DFT energy (no corrections) (eV for the cell shown) = -28.98
- ΔH_f (0 K) (eV per atom) = 0.056

SrMg14Ni | PBE | optimized geometry

Cell: 6.446 6.446 10.343 Å, 90.00 90.00 120.00°
Atoms (fractional coordinates):
Sr (0.000, 0.000, 0.000)
Mg (0.012, 0.506, 0.000)
Mg (0.162, 0.324, 0.276)
Mg (0.162, 0.324, 0.724)
Mg (0.162, 0.838, 0.276)
Mg (0.162, 0.838, 0.724)
Mg (0.494, 0.506, 0.000)
Mg (0.494, 0.988, 0.000)
Mg (0.505, 0.011, 0.500)
Mg (0.505, 0.495, 0.500)
Mg (0.667, 0.333, 0.239)
Mg (0.667, 0.333, 0.761)
Mg (0.676, 0.838, 0.276)
Mg (0.676, 0.838, 0.724)
Mg (0.989, 0.495, 0.500)
Ni (0.000, 0.000, 0.500)

Results
- total magnetic moment (μB/f.u.) = 0.0
- total DFT energy (no corrections) (eV for the cell shown) = -28.57
- ΔH_f (0 K) (eV per atom) = 0.082

Tb9Mg5Ni4 | PBE | optimized geometry

Cell: 10.940 10.940 3.648 Å, 90.00 90.00 90.00°
Atoms (fractional coordinates):
Tb (0.000, 0.000, 0.000)
Tb (0.000, 0.276, 0.500)
Tb (0.000, 0.724, 0.500)
Tb (0.276, 0.000, 0.500)
Tb (0.324, 0.324, 0.500)
Tb (0.324, 0.676, 0.500)
Tb (0.676, 0.324, 0.500)
Tb (0.676, 0.676, 0.500)
Tb (0.724, 0.000, 0.500)
Mg (0.142, 0.500, 0.000)
Mg (0.500, 0.142, 0.000)
Mg (0.500, 0.500, 0.000)
Mg (0.500, 0.858, 0.000)
Mg (0.858, 0.500, 0.000)
Ni (0.190, 0.190, 0.000)
Ni (0.190, 0.810, 0.000)
Ni (0.810, 0.190, 0.000)
Ni (0.810, 0.810, 0.000)

Results
- total DFT energy (no corrections) (eV for the cell shown) = -77.29
- ΔH_f (0 K) (eV per atom) = -0.248

Tb2Mg3Ni2 | PBE | optimized geometry

Cell: 10.731 10.731 3.630 Å, 90.00 90.00 158.76°
Atoms (fractional coordinates):
Tb (0.176, 0.824, 0.000)
Tb (0.824, 0.176, 0.000)
Mg (0.000, 0.000, 0.000)
Mg (0.420, 0.580, 0.500)
Mg (0.580, 0.420, 0.500)
Ni (0.287, 0.713, 0.500)
Ni (0.713, 0.287, 0.500)

Results
- total DFT energy (no corrections) (eV for the cell shown) = -27.62
- ΔH_f (0 K) (eV per atom) = -0.284

Mg6TiNi | PBE | optimized geometry

Cell: 4.822 5.910 10.989 Å, 90.00 90.00 90.00°
Atoms (fractional coordinates):
Mg (0.500, 0.000, 0.311)
Mg (0.000, 0.253, 0.426)
Mg (0.500, 0.747, 0.585)
Mg (0.500, 0.000, 0.828)
Mg (0.000, 0.247, 0.926)
Mg (0.500, 0.500, 0.811)
Mg (0.500, 0.753, 0.085)
Mg (0.000, 0.747, 0.426)
Mg (0.500, 0.253, 0.585)
Mg (0.500, 0.247, 0.085)
Mg (0.500, 0.500, 0.328)
Mg (0.000, 0.753, 0.926)
Ni (0.000, 0.000, 0.160)
Ni (0.000, 0.500, 0.660)
Ti (0.000, 0.500, 0.178)
Ti (0.000, 0.000, 0.678)

Results
- total magnetic moment (μB/f.u.) = 1.1
- total DFT energy (no corrections) (eV for the cell shown) = -44.69
- ΔH_f (0 K) (eV per atom) = 0.117